! Li2CoP2O7 (PBE+U, relaxed); values from VASP
! * energy relative to the lowest polymorph listed for this composition: 78.7 meV/atom
! * crystal system: monoclinic
! * calculated density: 2.88 Mg/m³
! * spin magnetization: 0.083 μB per atom
! * space-group type: C2/c, No. 15
&SYSTEM
  ibrav = 0, nat = 24, ntyp = 4
/
ATOMIC_SPECIES
Li 6.94 Li.upf
Co 58.93 Co.upf
P 30.97 P.upf
O 16.00 O.upf
CELL_PARAMETERS angstrom
7.251 -2.802 0.000
7.251 2.802 0.000
-3.669 0.000 7.001
ATOMIC_POSITIONS crystal
Li 0.064 0.378 0.307
Li 0.378 0.064 0.807
Li 0.622 0.936 0.193
Li 0.936 0.622 0.693
Co 0.000 0.000 0.000
Co 0.000 0.000 0.500
P 0.244 0.532 0.142
P 0.468 0.756 0.358
P 0.532 0.244 0.642
P 0.756 0.468 0.858
O 0.059 0.704 0.287
O 0.113 0.666 0.972
O 0.258 0.353 0.580
O 0.296 0.941 0.213
O 0.334 0.887 0.528
O 0.353 0.258 0.080
O 0.493 0.507 0.250
O 0.507 0.493 0.750
O 0.647 0.742 0.920
O 0.666 0.113 0.472
O 0.704 0.059 0.787
O 0.742 0.647 0.420
O 0.887 0.334 0.028
O 0.941 0.296 0.713

! LiCoP2O7 (PBE+U, relaxed); values from VASP
! * energy relative to the lowest polymorph listed for this composition: 10.5 meV/atom
! * crystal system: triclinic
! * calculated density: 3.17 Mg/m³
! * spin magnetization: 0.364 μB per atom
! * space-group type: P-1, No. 2
&SYSTEM
  ibrav = 0, nat = 22, ntyp = 4
/
ATOMIC_SPECIES
Li 6.94 Li.upf
Co 58.93 Co.upf
P 30.97 P.upf
O 16.00 O.upf
CELL_PARAMETERS angstrom
5.043 0.000 0.000
0.493 6.090 0.000
0.495 2.762 8.188
ATOMIC_POSITIONS crystal
Li 0.213 0.309 0.026
Li 0.787 0.691 0.974
Co 0.238 0.946 0.760
Co 0.762 0.054 0.240
P 0.217 0.293 0.368
P 0.297 0.760 0.158
P 0.703 0.240 0.842
P 0.783 0.707 0.632
O 0.054 0.709 0.700
O 0.101 0.964 0.165
O 0.225 0.668 0.021
O 0.249 0.180 0.548
O 0.262 0.564 0.333
O 0.414 0.175 0.857
O 0.433 0.212 0.259
O 0.567 0.788 0.741
O 0.586 0.825 0.143
O 0.738 0.436 0.667
O 0.751 0.820 0.452
O 0.775 0.332 0.979
O 0.899 0.036 0.835
O 0.946 0.291 0.300

! LiCoP2O7 (PBE+U, relaxed); values from VASP
! * energy relative to the lowest polymorph listed for this composition: 42.6 meV/atom
! * crystal system: monoclinic
! * calculated density: 2.49 Mg/m³
! * spin magnetization: 0.182 μB per atom
! * space-group type: Cc, No. 9
&SYSTEM
  ibrav = 0, nat = 22, ntyp = 4
/
ATOMIC_SPECIES
Li 6.94 Li.upf
Co 58.93 Co.upf
P 30.97 P.upf
O 16.00 O.upf
CELL_PARAMETERS angstrom
7.637 -2.537 0.000
7.637 2.537 0.000
-3.229 0.000 8.251
ATOMIC_POSITIONS crystal
Li 0.177 0.823 0.500
Li 0.823 0.177 0.000
Co 0.777 0.815 0.952
Co 0.815 0.777 0.452
P 0.060 0.342 0.656
P 0.251 0.551 0.771
P 0.342 0.060 0.156
P 0.551 0.251 0.271
O 0.019 0.768 0.888
O 0.072 0.174 0.103
O 0.116 0.682 0.611
O 0.174 0.072 0.603
O 0.285 0.318 0.220
O 0.318 0.285 0.720
O 0.437 0.520 0.344
O 0.520 0.437 0.844
O 0.520 0.891 0.303
O 0.534 0.883 0.021
O 0.682 0.116 0.111
O 0.768 0.019 0.388
O 0.883 0.534 0.521
O 0.891 0.520 0.803

! LiCoP2O7 (PBE+U, relaxed); values from VASP
! * energy relative to the lowest polymorph listed for this composition: 67.4 meV/atom
! * crystal system: monoclinic
! * calculated density: 2.99 Mg/m³
! * spin magnetization: 0.091 μB per atom
! * space-group type: Pc, No. 7
&SYSTEM
  ibrav = 0, nat = 44, ntyp = 4
/
ATOMIC_SPECIES
Li 6.94 Li.upf
Co 58.93 Co.upf
P 30.97 P.upf
O 16.00 O.upf
CELL_PARAMETERS angstrom
8.531 0.000 0.000
0.000 5.095 0.000
-6.013 0.000 12.273
ATOMIC_POSITIONS crystal
Li 0.000 0.013 0.000
Li 0.000 0.987 0.500
Li 0.433 0.471 0.896
Li 0.433 0.529 0.396
Co 0.169 0.012 0.280
Co 0.169 0.988 0.780
Co 0.706 0.487 0.332
Co 0.706 0.513 0.832
P 0.126 0.499 0.929
P 0.126 0.501 0.429
P 0.261 0.500 0.168
P 0.261 0.500 0.668
P 0.607 0.013 0.451
P 0.607 0.987 0.951
P 0.745 0.015 0.696
P 0.745 0.985 0.196
O 0.111 0.204 0.907
O 0.111 0.796 0.407
O 0.140 0.291 0.679
O 0.140 0.709 0.179
O 0.189 0.219 0.159
O 0.189 0.781 0.659
O 0.211 0.355 0.367
O 0.211 0.645 0.867
O 0.272 0.450 0.554
O 0.272 0.550 0.054
O 0.419 0.078 0.878
O 0.419 0.922 0.378
O 0.446 0.465 0.756
O 0.446 0.535 0.256
O 0.612 0.022 0.070
O 0.612 0.978 0.570
O 0.641 0.307 0.444
O 0.641 0.693 0.944
O 0.666 0.161 0.253
O 0.666 0.839 0.753
O 0.742 0.304 0.727
O 0.742 0.696 0.227
O 0.744 0.166 0.941
O 0.744 0.834 0.441
O 0.924 0.071 0.207
O 0.924 0.929 0.707
O 0.958 0.374 0.424
O 0.958 0.626 0.924

! LiCoP2O7 (PBE+U, relaxed); values from VASP
! * energy relative to the lowest polymorph listed for this composition: 41.5 meV/atom
! * crystal system: triclinic
! * calculated density: 2.51 Mg/m³
! * spin magnetization: 0.227 μB per atom
! * space-group type: P1, No. 1
&SYSTEM
  ibrav = 0, nat = 44, ntyp = 4
/
ATOMIC_SPECIES
Li 6.94 Li.upf
Co 58.93 Co.upf
P 30.97 P.upf
O 16.00 O.upf
CELL_PARAMETERS angstrom
5.056 0.000 0.000
-2.484 7.616 0.000
-2.352 -1.214 16.448
ATOMIC_POSITIONS crystal
Li 0.000 0.000 0.000
Li 0.105 0.754 0.752
Li 0.496 0.502 0.502
Li 0.604 0.250 0.252
Co 0.270 0.867 0.277
Co 0.468 0.117 0.528
Co 0.766 0.374 0.774
Co 0.976 0.615 0.025
P 0.035 0.416 0.616
P 0.090 0.168 0.367
P 0.409 0.573 0.172
P 0.446 0.323 0.921
P 0.540 0.916 0.115
P 0.590 0.666 0.866
P 0.899 0.077 0.676
P 0.937 0.825 0.425
O 0.036 0.944 0.701
O 0.051 0.760 0.353
O 0.127 0.242 0.641
O 0.165 0.507 0.100
O 0.190 0.908 0.494
O 0.204 0.191 0.948
O 0.249 0.843 0.058
O 0.252 0.095 0.309
O 0.268 0.537 0.581
O 0.298 0.244 0.448
O 0.303 0.656 0.241
O 0.351 0.493 0.892
O 0.443 0.785 0.829
O 0.488 0.993 0.196
O 0.545 0.255 0.846
O 0.551 0.443 0.198
O 0.633 0.742 0.139
O 0.657 0.012 0.602
O 0.690 0.695 0.450
O 0.704 0.406 0.988
O 0.746 0.346 0.559
O 0.752 0.594 0.806
O 0.771 0.035 0.078
O 0.791 0.158 0.745
O 0.803 0.743 0.946
O 0.849 0.995 0.392
O 0.940 0.287 0.330
O 0.983 0.494 0.698

| no. | E_form (eV per atom) |
| --- | --- |
| 1 | -2.44 |
| 2 | -2.34 |
| 3 | -2.31 |
| 4 | -2.29 |
| 5 | -2.31 |